Arrangement a

DFT (PBE) results for an optimized crystal structure of Te2Mo2WS4.

a = 3.2987 Å, b = 3.2987 Å, c = 30.5246 Å
α = 90.00°, β = 90.00°, γ = 120.00°
Space group P3m1 (No. 156)
Unique sites:
Te (0.0000, 0.0000, 0.0000) x1
Te (0.0000, 0.0000, 0.1257) x1
Mo (0.0000, 0.0000, 0.8315) x1
Mo (0.3333, 0.6667, 0.0628) x1
W (0.0000, 0.0000, 0.2942) x1
S (0.3333, 0.6667, 0.2438) x1
S (0.3333, 0.6667, 0.3446) x1
S (0.3333, 0.6667, 0.7814) x1
S (0.3333, 0.6667, 0.8816) x1

Properties
- total magnetic moment (μB/f.u.) = 0.00

---

Arrangement b

DFT (PBE) results for an optimized crystal structure of Te2Mo2WS4.

a = 3.3049 Å, b = 3.3049 Å, c = 30.5547 Å
α = 90.00°, β = 90.00°, γ = 120.00°
Space group P-6m2 (No. 187)
Unique sites:
Te (0.0000, 0.0000, 0.0631) x2
Mo (0.0000, 0.0000, 0.2314) x2
W (0.3333, 0.6667, 0.0000) x1
S (0.3333, 0.6667, 0.1813) x2
S (0.3333, 0.6667, 0.2814) x2

Properties
- total magnetic moment (μB/f.u.) = 0.00

---

Last place for stability: arrangement b

---

Arrangement a

DFT (PBE) results for an optimized crystal structure of Te4Mo3WS4.

a = 3.3612 Å, b = 3.3612 Å, c = 41.1913 Å
α = 90.00°, β = 90.00°, γ = 120.00°
Space group P3m1 (No. 156)
Unique sites:
Te (0.0000, 0.0000, 0.0000) x1
Te (0.0000, 0.0000, 0.0918) x1
Te (0.3333, 0.6667, 0.8060) x1
Te (0.3333, 0.6667, 0.8978) x1
Mo (0.0000, 0.0000, 0.2311) x1
Mo (0.0000, 0.0000, 0.8519) x1
Mo (0.3333, 0.6667, 0.0459) x1
W (0.3333, 0.6667, 0.4186) x1
S (0.0000, 0.0000, 0.3817) x1
S (0.0000, 0.0000, 0.4555) x1
S (0.3333, 0.6667, 0.1943) x1
S (0.3333, 0.6667, 0.2678) x1

Properties
- total magnetic moment (μB/f.u.) = 0.00

---

Arrangement b

DFT (PBE) results for an optimized crystal structure of Te4Mo3WS4.

a = 3.3616 Å, b = 3.3616 Å, c = 38.2337 Å
α = 90.00°, β = 90.00°, γ = 120.00°
Space group P3m1 (No. 156)
Unique sites:
Te (0.0000, 0.0000, 0.0000) x1
Te (0.0000, 0.0000, 0.0994) x1
Te (0.3333, 0.6667, 0.4367) x1
Te (0.3333, 0.6667, 0.5355) x1
Mo (0.0000, 0.0000, 0.4861) x1
Mo (0.0000, 0.0000, 0.8618) x1
Mo (0.3333, 0.6667, 0.6740) x1
W (0.3333, 0.6667, 0.0497) x1
S (0.0000, 0.0000, 0.6344) x1
S (0.0000, 0.0000, 0.7136) x1
S (0.3333, 0.6667, 0.8222) x1
S (0.3333, 0.6667, 0.9014) x1

Properties
- total magnetic moment (μB/f.u.) = 0.00

---

Last place for stability: arrangement b

---

Arrangement a

DFT (PBE) results for an optimized crystal structure of Te4Mo3WS4.

a = 3.3576 Å, b = 3.3576 Å, c = 38.2814 Å
α = 90.00°, β = 90.00°, γ = 120.00°
Space group P3m1 (No. 156)
Unique sites:
Te (0.0000, 0.0000, 0.0000) x1
Te (0.0000, 0.0000, 0.0988) x1
Te (0.3333, 0.6667, 0.4364) x1
Te (0.3333, 0.6667, 0.5352) x1
Mo (0.0000, 0.0000, 0.4858) x1
Mo (0.3333, 0.6667, 0.0494) x1
Mo (0.3333, 0.6667, 0.6736) x1
W (0.0000, 0.0000, 0.8615) x1
S (0.0000, 0.0000, 0.6341) x1
S (0.0000, 0.0000, 0.7132) x1
S (0.3333, 0.6667, 0.8218) x1
S (0.3333, 0.6667, 0.9012) x1

Properties
- total magnetic moment (μB/f.u.) = 0.00

---

Arrangement b

DFT (PBE) results for an optimized crystal structure of Te4Mo3WS4.

a = 3.3634 Å, b = 3.3634 Å, c = 38.3173 Å
α = 90.00°, β = 90.00°, γ = 120.00°
Space group P3m1 (No. 156)
Unique sites:
Te (0.0000, 0.0000, 0.0000) x1
Te (0.0000, 0.0000, 0.0992) x1
Te (0.0000, 0.0000, 0.3761) x1
Te (0.0000, 0.0000, 0.4746) x1
Mo (0.0000, 0.0000, 0.2375) x1
Mo (0.0000, 0.0000, 0.8617) x1
Mo (0.3333, 0.6667, 0.4254) x1
W (0.3333, 0.6667, 0.0496) x1
S (0.3333, 0.6667, 0.1980) x1
S (0.3333, 0.6667, 0.2769) x1
S (0.3333, 0.6667, 0.8223) x1
S (0.3333, 0.6667, 0.9012) x1

Properties
- total magnetic moment (μB/f.u.) = 0.00

---

Last place for stability: arrangement b

---

Arrangement a

DFT (PBE) results for an optimized crystal structure of Te4MoW2S2.

a = 3.4175 Å, b = 3.4175 Å, c = 31.7835 Å
α = 90.00°, β = 90.00°, γ = 120.00°
Space group P3m1 (No. 156)
Unique sites:
Te (0.0000, 0.0000, 0.0000) x1
Te (0.0000, 0.0000, 0.1174) x1
Te (0.6667, 0.3333, 0.2311) x1
Te (0.6667, 0.3333, 0.3492) x1
Mo (0.6667, 0.3333, 0.0586) x1
W (0.0000, 0.0000, 0.2901) x1
W (0.6667, 0.3333, 0.5214) x1
S (0.0000, 0.0000, 0.4742) x1
S (0.0000, 0.0000, 0.5686) x1

Properties
- total magnetic moment (μB/f.u.) = 0.00

---

Arrangement b

DFT (PBE) results for an optimized crystal structure of Te4MoW2S2.

a = 3.4255 Å, b = 3.4255 Å, c = 31.7596 Å
α = 90.00°, β = 90.00°, γ = 120.00°
Space group P3m1 (No. 156)
Unique sites:
Te (0.0000, 0.0000, 0.0000) x1
Te (0.0000, 0.0000, 0.1179) x1
Te (0.3333, 0.6667, 0.2317) x1
Te (0.3333, 0.6667, 0.3495) x1
Mo (0.0000, 0.0000, 0.8278) x1
W (0.0000, 0.0000, 0.2906) x1
W (0.3333, 0.6667, 0.0589) x1
S (0.3333, 0.6667, 0.7807) x1
S (0.3333, 0.6667, 0.8749) x1

Properties
- total magnetic moment (μB/f.u.) = 0.02

---

Last place for stability: arrangement b

---

Arrangement a

DFT (PBE) results for an optimized crystal structure of Te4MoW2S2.

a = 3.4202 Å, b = 3.4202 Å, c = 31.6736 Å
α = 90.00°, β = 90.00°, γ = 120.00°
Space group P3m1 (No. 156)
Unique sites:
Te (0.0000, 0.0000, 0.0000) x1
Te (0.0000, 0.0000, 0.1177) x1
Te (0.0000, 0.0000, 0.4623) x1
Te (0.0000, 0.0000, 0.5806) x1
Mo (0.6667, 0.3333, 0.0588) x1
W (0.0000, 0.0000, 0.2901) x1
W (0.6667, 0.3333, 0.5215) x1
S (0.6667, 0.3333, 0.2428) x1
S (0.6667, 0.3333, 0.3375) x1

---

Arrangement b

DFT (PBE) results for an optimized crystal structure of Te4MoW2S2.

a = 3.4258 Å, b = 3.4258 Å, c = 31.6675 Å
α = 90.00°, β = 90.00°, γ = 120.00°
Space group P-6m2 (No. 187)
Unique sites:
Te (0.0000, 0.0000, 0.1723) x2
Te (0.0000, 0.0000, 0.2903) x2
Mo (0.0000, 0.0000, 0.0000) x1
W (0.6667, 0.3333, 0.2313) x2
S (0.6667, 0.3333, 0.0473) x2

Properties
- total magnetic moment (μB/f.u.) = 0.03

---

Last place for stability: arrangement b

---

Arrangement a

DFT (PBE) results for an optimized crystal structure of VMo2S4.

a = 12.101 Å, b = 6.495 Å, c = 12.816 Å
α = 90.00°, β = 114.70°, γ = 90.00°
Space group C2/c (No. 15)
Unique sites:
V (0.246, 0.124, 0.249) x8
Mo (0.088, 0.143, 0.991) x8
Mo (0.098, 0.394, 0.493) x8
S (0.023, 0.127, 0.140) x8
S (0.038, 0.379, 0.649) x8
S (0.235, 0.130, 0.886) x8
S (0.244, 0.380, 0.391) x8

Properties
- total magnetic moment (μB/f.u.) = 2.24

---

Arrangement b

DFT (PBE) results for an optimized crystal structure of VMo2S4.

a = 9.973 Å, b = 10.296 Å, c = 11.835 Å
α = 89.03°, β = 81.53°, γ = 64.06°
Space group P1 (No. 1)
Unique sites:
V (0.000, 0.000, 0.000) x1
V (0.003, 0.460, 0.041) x1
V (0.051, 0.914, 0.319) x1
V (0.477, 0.445, 0.534) x1
V (0.546, 0.984, 0.537) x1
V (0.550, 0.846, 0.782) x1
V (0.827, 0.293, 0.736) x1
V (0.929, 0.372, 0.291) x1
Mo (0.093, 0.141, 0.771) x1
Mo (0.106, 0.029, 0.514) x1
Mo (0.142, 0.458, 0.486) x1
Mo (0.181, 0.531, 0.702) x1
Mo (0.262, 0.262, 0.280) x1
Mo (0.300, 0.278, 0.037) x1
Mo (0.302, 0.272, 0.687) x1
Mo (0.354, 0.853, 0.688) x1
Mo (0.368, 0.741, 0.985) x1
Mo (0.533, 0.732, 0.283) x1
Mo (0.569, 0.498, 0.961) x1
Mo (0.575, 0.041, 0.942) x1
Mo (0.729, 0.042, 0.377) x1
Mo (0.836, 0.193, 0.492) x1
Mo (0.954, 0.703, 0.220) x1
Mo (0.955, 0.716, 0.428) x1
S (0.047, 0.613, 0.903) x1
S (0.072, 0.277, 0.436) x1
S (0.078, 0.241, 0.136) x1
S (0.115, 0.730, 0.020) x1
S (0.134, 0.788, 0.473) x1
S (0.171, 0.916, 0.131) x1
S (0.172, 0.284, 0.877) x1
S (0.177, 0.479, 0.170) x1
S (0.181, 0.908, 0.851) x1
S (0.282, 0.079, 0.597) x1
S (0.282, 0.937, 0.336) x1
S (0.356, 0.417, 0.363) x1
S (0.365, 0.611, 0.687) x1
S (0.436, 0.079, 0.130) x1
S (0.473, 0.084, 0.363) x1
S (0.474, 0.613, 0.145) x1
S (0.492, 0.323, 0.926) x1
S (0.504, 0.601, 0.418) x1
S (0.518, 0.076, 0.759) x1
S (0.563, 0.820, 0.970) x1
S (0.590, 0.192, 0.549) x1
S (0.615, 0.752, 0.603) x1
S (0.707, 0.808, 0.383) x1
S (0.718, 0.427, 0.585) x1
S (0.736, 0.533, 0.822) x1
S (0.771, 0.263, 0.305) x1
S (0.800, 0.581, 0.191) x1
S (0.821, 0.954, 0.930) x1
S (0.864, 0.953, 0.189) x1
S (0.870, 0.232, 0.929) x1
S (0.911, 0.053, 0.671) x1
S (0.955, 0.626, 0.631) x1

Properties
- total magnetic moment (μB/f.u.) = 0.71

---

Last place for stability: arrangement b

---

Arrangement a

DFT (PBE) results for an optimized crystal structure of VMo2S4.

a = 6.799 Å, b = 9.645 Å, c = 15.689 Å
α = 86.59°, β = 79.46°, γ = 72.30°
Space group P1 (No. 1)
Unique sites:
V (0.000, 0.000, 0.000) x1
V (0.025, 0.957, 0.460) x1
V (0.334, 0.732, 0.669) x1
V (0.386, 0.418, 0.280) x1
V (0.536, 0.938, 0.971) x1
V (0.631, 0.948, 0.449) x1
V (0.843, 0.692, 0.189) x1
V (0.914, 0.870, 0.779) x1
Mo (0.104, 0.086, 0.156) x1
Mo (0.117, 0.552, 0.925) x1
Mo (0.187, 0.064, 0.669) x1
Mo (0.221, 0.674, 0.518) x1
Mo (0.335, 0.286, 0.557) x1
Mo (0.372, 0.388, 0.034) x1
Mo (0.446, 0.878, 0.788) x1
Mo (0.531, 0.855, 0.294) x1
Mo (0.592, 0.081, 0.675) x1
Mo (0.663, 0.622, 0.898) x1
Mo (0.666, 0.593, 0.423) x1
Mo (0.697, 0.087, 0.151) x1
Mo (0.856, 0.304, 0.050) x1
Mo (0.884, 0.368, 0.543) x1
Mo (0.917, 0.456, 0.737) x1
Mo (0.919, 0.859, 0.302) x1
S (0.011, 0.506, 0.076) x1
S (0.023, 0.873, 0.626) x1
S (0.054, 0.510, 0.592) x1
S (0.084, 0.021, 0.823) x1
S (0.119, 0.619, 0.767) x1
S (0.133, 0.620, 0.250) x1
S (0.140, 0.016, 0.310) x1
S (0.158, 0.137, 0.516) x1
S (0.205, 0.146, 0.010) x1
S (0.283, 0.270, 0.709) x1
S (0.328, 0.259, 0.178) x1
S (0.331, 0.806, 0.936) x1
S (0.387, 0.832, 0.440) x1
S (0.404, 0.450, 0.427) x1
S (0.468, 0.422, 0.885) x1
S (0.502, 0.904, 0.136) x1
S (0.517, 0.895, 0.605) x1
S (0.547, 0.552, 0.576) x1
S (0.570, 0.538, 0.054) x1
S (0.589, 0.599, 0.275) x1
S (0.598, 0.631, 0.750) x1
S (0.601, 0.082, 0.324) x1
S (0.603, 0.054, 0.828) x1
S (0.658, 0.154, 0.007) x1
S (0.697, 0.139, 0.519) x1
S (0.793, 0.282, 0.203) x1
S (0.819, 0.248, 0.685) x1
S (0.873, 0.789, 0.930) x1
S (0.919, 0.741, 0.439) x1
S (0.940, 0.396, 0.890) x1
S (0.959, 0.391, 0.391) x1
S (0.999, 0.875, 0.126) x1

Properties
- total magnetic moment (μB/f.u.) = 1.01

---

Arrangement b

DFT (PBE) results for an optimized crystal structure of VMo2S4.

a = 12.802 Å, b = 3.227 Å, c = 6.042 Å
α = 90.00°, β = 114.32°, γ = 90.00°
Space group C2/m (No. 12)
Unique sites:
V (0.000, 0.000, 0.000) x2
Mo (0.241, 0.500, 0.685) x4
S (0.105, 0.000, 0.440) x4
S (0.136, 0.500, 0.972) x4

Properties
- total magnetic moment (μB/f.u.) = 2.10

---

Last place for stability: arrangement a